A) Li3MnCoO5 (GGA+U, relaxed); total moment = 3.0 μB per formula unit
1.0
6.392 -1.474 0.000
6.392 1.474 0.000
-1.742 0.000 9.747
Li Mn Co O
6 2 2 10
Direct
0.000 0.000 0.000
0.095 0.095 0.281
0.309 0.309 0.918
0.500 0.500 0.500
0.691 0.691 0.082
0.905 0.905 0.719
0.199 0.199 0.603
0.801 0.801 0.397
0.410 0.410 0.185
0.590 0.590 0.815
0.064 0.064 0.649
0.150 0.150 0.936
0.256 0.256 0.275
0.338 0.338 0.533
0.455 0.455 0.842
0.545 0.545 0.158
0.662 0.662 0.467
0.744 0.744 0.725
0.850 0.850 0.064
0.936 0.936 0.351

=====

B) Li3MnCoO5 (GGA+U, relaxed); total moment = 3.0 μB per formula unit
1.0
2.902 0.000 0.000
-0.039 5.122 0.000
-1.119 -0.913 12.048
Li Mn Co O
6 2 2 10
Direct
0.000 0.000 0.000
0.092 0.704 0.194
0.302 0.104 0.599
0.500 0.500 0.000
0.698 0.896 0.401
0.908 0.296 0.806
0.409 0.815 0.807
0.591 0.185 0.193
0.193 0.400 0.399
0.807 0.600 0.601
0.059 0.334 0.112
0.128 0.068 0.290
0.240 0.738 0.505
0.374 0.479 0.696
0.443 0.125 0.891
0.557 0.875 0.109
0.626 0.521 0.304
0.760 0.262 0.495
0.872 0.932 0.710
0.941 0.666 0.888

=====

C) Li3MnCoO5 (GGA+U, relaxed); total moment = 3.0 μB per formula unit
1.0
6.380 -1.452 0.000
6.380 1.452 0.000
-1.868 0.000 9.687
Li Mn Co O
6 2 2 10
Direct
0.000 0.000 0.000
0.192 0.192 0.588
0.402 0.402 0.200
0.502 0.502 0.498
0.596 0.596 0.779
0.805 0.805 0.399
0.699 0.699 0.096
0.904 0.904 0.690
0.088 0.088 0.308
0.298 0.298 0.890
0.039 0.039 0.651
0.156 0.156 0.963
0.243 0.243 0.225
0.355 0.355 0.564
0.442 0.442 0.830
0.563 0.563 0.148
0.650 0.650 0.431
0.758 0.758 0.749
0.839 0.839 0.037
0.954 0.954 0.338

=====

Relative to the most stable structure, the computed energies are A) 84; B) 0; C) 40, all in meV per atom.

=====

A) Li5MnCo2O8 (GGA+U, relaxed); total moment = 10.0 μB per formula unit
1.0
5.926 0.000 0.000
0.000 2.940 0.000
-0.081 0.000 8.109
Li Mn Co O
5 1 2 8
Direct
0.000 0.000 0.000
0.012 0.000 0.489
0.256 0.500 0.753
0.526 0.000 0.002
0.770 0.500 0.230
0.767 0.500 0.753
0.250 0.500 0.234
0.518 0.000 0.482
0.031 0.000 0.246
0.265 0.500 0.022
0.276 0.500 0.474
0.505 0.000 0.251
0.536 0.000 0.737
0.750 0.500 0.507
0.761 0.500 0.977
0.985 0.000 0.743

=====

B) Li5MnCo2O8 (GGA+U, relaxed); total moment = 7.5 μB per formula unit
1.0
1.468 0.848 19.945
-1.468 0.848 19.945
0.000 -1.695 19.945
Li Mn Co O
5 1 2 8
Direct
0.000 0.000 0.000
0.126 0.126 0.126
0.253 0.253 0.253
0.497 0.497 0.497
0.752 0.752 0.752
0.877 0.877 0.877
0.375 0.375 0.375
0.626 0.626 0.626
0.058 0.058 0.058
0.193 0.193 0.193
0.311 0.311 0.311
0.437 0.437 0.437
0.562 0.562 0.562
0.690 0.690 0.690
0.814 0.814 0.814
0.940 0.940 0.940

=====

Relative to the most stable structure, the computed energies are A) 0; B) 126, all in meV per atom.

=====

A) Li5MnCo2O8 (GGA+U, relaxed); total moment = 2.0 μB per formula unit
1.0
5.103 0.000 0.000
0.000 2.883 0.000
-1.769 0.000 9.667
Li Mn Co O
5 1 2 8
Direct
0.000 0.000 0.000
0.228 0.500 0.237
0.253 0.000 0.755
0.747 0.000 0.245
0.772 0.500 0.763
0.500 0.500 0.000
0.000 0.500 0.500
0.500 0.000 0.500
0.120 0.000 0.384
0.157 0.500 0.884
0.381 0.500 0.613
0.387 0.000 0.111
0.613 0.000 0.889
0.619 0.500 0.387
0.843 0.500 0.116
0.880 0.000 0.616

=====

B) Li5MnCo2O8 (GGA+U, relaxed); total moment = 6.0 μB per formula unit
1.0
5.134 0.000 0.000
-0.027 5.738 0.000
-1.829 -2.873 4.750
Li Mn Co O
5 1 2 8
Direct
0.000 0.000 0.000
0.497 0.751 0.502
0.497 0.758 0.001
0.503 0.242 0.999
0.503 0.249 0.498
0.000 0.500 0.500
0.000 0.000 0.500
0.000 0.500 0.000
0.215 0.391 0.256
0.220 0.839 0.229
0.230 0.865 0.727
0.241 0.379 0.733
0.759 0.621 0.267
0.770 0.135 0.273
0.780 0.161 0.771
0.785 0.609 0.744

=====

Relative to the most stable structure, the computed energies are A) 20; B) 0, all in meV per atom.

=====

A) Li4MnCo3O8 (GGA+U, relaxed); total moment = 12.4 μB per formula unit
1.0
4.856 -1.463 0.000
4.856 1.463 0.000
-1.669 0.000 10.020
Li Mn Co O
4 1 3 8
Direct
0.247 0.247 0.120
0.248 0.248 0.630
0.752 0.752 0.370
0.753 0.753 0.880
0.500 0.500 0.500
0.001 0.001 0.242
0.500 0.500 0.000
0.999 0.999 0.758
0.111 0.111 0.943
0.113 0.113 0.445
0.386 0.386 0.820
0.388 0.388 0.324
0.612 0.612 0.676
0.614 0.614 0.180
0.887 0.887 0.555
0.889 0.889 0.057

=====

B) Li4MnCo3O8 (GGA+U, relaxed); total moment = 8.0 μB per formula unit
1.0
2.952 0.000 0.000
-1.230 4.941 0.000
-0.435 -1.762 10.134
Li Mn Co O
4 1 3 8
Direct
0.247 0.497 0.375
0.250 0.499 0.874
0.750 0.501 0.126
0.753 0.503 0.625
0.000 0.000 0.500
0.000 0.000 0.000
0.494 0.994 0.750
0.506 0.006 0.250
0.115 0.225 0.685
0.121 0.230 0.187
0.344 0.764 0.566
0.376 0.773 0.063
0.624 0.227 0.937
0.656 0.236 0.434
0.879 0.770 0.813
0.885 0.775 0.315

=====

Relative to the most stable structure, the computed energies are A) 19; B) 0, all in meV per atom.

=====

A) Li4MnCo3O8 (GGA+U, relaxed); total moment = 14.0 μB per formula unit
1.0
2.931 1.692 4.882
-2.931 1.692 4.882
0.000 -3.384 4.882
Li Mn Co O
4 1 3 8
Direct
0.000 0.000 0.000
0.000 0.500 0.500
0.500 0.000 0.500
0.500 0.500 0.000
0.500 0.500 0.500
0.000 0.000 0.500
0.000 0.500 0.000
0.500 0.000 0.000
0.241 0.241 0.241
0.261 0.734 0.734
0.266 0.266 0.739
0.266 0.739 0.266
0.734 0.261 0.734
0.734 0.734 0.261
0.739 0.266 0.266
0.759 0.759 0.759

=====

B) Li4MnCo3O8 (GGA+U, relaxed); total moment = 8.0 μB per formula unit
1.0
2.943 0.000 0.000
-1.446 6.507 0.000
-0.972 -0.348 7.684
Li Mn Co O
4 1 3 8
Direct
0.248 0.123 0.374
0.248 0.624 0.874
0.752 0.376 0.126
0.752 0.877 0.626
0.000 0.500 0.500
0.000 0.000 0.000
0.498 0.747 0.248
0.502 0.253 0.752
0.122 0.302 0.927
0.124 0.799 0.428
0.349 0.446 0.317
0.375 0.948 0.824
0.625 0.052 0.176
0.651 0.554 0.683
0.876 0.201 0.572
0.878 0.698 0.073

=====

C) Li4MnCo3O8 (GGA+U, relaxed); total moment = 1.0 μB per formula unit
1.0
5.193 0.000 0.000
1.837 5.520 0.000
0.147 2.818 5.165
Li Mn Co O
4 1 3 8
Direct
0.000 0.247 0.246
0.000 0.753 0.754
0.003 0.250 0.754
0.997 0.750 0.246
0.500 0.500 0.500
0.500 0.000 0.000
0.500 0.000 0.500
0.500 0.500 0.000
0.263 0.356 0.111
0.272 0.862 0.127
0.272 0.866 0.626
0.275 0.366 0.622
0.725 0.634 0.378
0.728 0.134 0.374
0.728 0.138 0.873
0.737 0.644 0.889

=====

D) Li4MnCo3O8 (GGA+U, relaxed); total moment = 11.6 μB per formula unit
1.0
4.950 0.000 0.000
0.000 2.982 0.000
-1.984 0.000 9.736
Li Mn Co O
4 1 3 8
Direct
0.247 0.000 0.257
0.250 0.500 0.749
0.750 0.500 0.251
0.753 0.000 0.743
0.000 0.500 0.000
0.000 0.000 0.500
0.500 0.000 0.000
0.500 0.500 0.500
0.133 0.000 0.886
0.137 0.500 0.382
0.363 0.000 0.618
0.375 0.500 0.104
0.625 0.500 0.896
0.637 0.000 0.382
0.863 0.500 0.618
0.867 0.000 0.114

=====

Relative to the most stable structure, the computed energies are A) 6; B) 11; C) 926; D) 0, all in meV per atom.